[1]
Here is ScFe4Si2 after structural relaxation from Materials Project. Energies are from GGA-PBE.

The space group is P4_2/mnm, No. 136. The total energy is -7.7810 eV/atom. The formation energy comes out at -0.466 eV/atom.

Cell: 6.882 6.882 3.767 Å, 90.00 90.00 90.00°
Fractional positions:
Sc 0.000 0.000 0.000
Sc 0.500 0.500 0.500
Fe 0.090 0.352 0.500
Fe 0.148 0.590 0.000
Fe 0.352 0.090 0.500
Fe 0.410 0.852 0.000
Fe 0.590 0.148 0.000
Fe 0.648 0.910 0.500
Fe 0.852 0.410 0.000
Fe 0.910 0.648 0.500
Si 0.217 0.783 0.500
Si 0.283 0.283 0.000
Si 0.717 0.717 0.000
Si 0.783 0.217 0.500

---

[2]
Here is ScFe10Si2 after structural relaxation from Materials Project. Energies are from GGA-PBE.

The space group is Immm, No. 71. The total energy is -8.0892 eV/atom. The formation energy comes out at -0.241 eV/atom.

Cell: 6.278 6.278 6.278 Å, 135.78 98.57 97.72°
Fractional positions:
Sc 0.000 0.000 0.000
Fe 0.000 0.000 0.500
Fe 0.000 0.500 0.000
Fe 0.199 0.500 0.699
Fe 0.350 0.000 0.350
Fe 0.360 0.360 0.000
Fe 0.500 0.000 0.000
Fe 0.500 0.500 0.500
Fe 0.640 0.640 0.000
Fe 0.650 0.000 0.650
Fe 0.801 0.500 0.301
Si 0.233 0.733 0.500
Si 0.767 0.267 0.500

---

[3]
Here is ScFe6Sn6 after structural relaxation from Materials Project. Energies are from GGA-PBE.

The space group is P6/mmm, No. 191. The total energy is -6.3457 eV/atom. The formation energy comes out at -0.099 eV/atom.

Cell: 5.379 5.379 8.913 Å, 90.00 90.00 120.00°
Fractional positions:
Sc 0.000 0.000 0.000
Fe 0.000 0.500 0.245
Fe 0.000 0.500 0.755
Fe 0.500 0.000 0.245
Fe 0.500 0.000 0.755
Fe 0.500 0.500 0.245
Fe 0.500 0.500 0.755
Sn 0.000 0.000 0.333
Sn 0.000 0.000 0.667
Sn 0.333 0.667 0.000
Sn 0.333 0.667 0.500
Sn 0.667 0.333 0.000
Sn 0.667 0.333 0.500